## NaLaCuTe4 (PBE)

Data for crystalline NaLaCuTe4 at its relaxed geometry.

Cell and atoms, written as CIF:
```
data_NaLaCuTe4
_symmetry_space_group_name_H-M 'P 4/n m m'
_symmetry_Int_Tables_number 129
_cell_length_a 4.457
_cell_length_b 4.457
_cell_length_c 19.927
_cell_angle_alpha 90.00
_cell_angle_beta 90.00
_cell_angle_gamma 90.00
loop_
_symmetry_equiv_pos_as_xyz
'x,y,z'
'-x,-y,-z'
'-y+1/2,x,z'
'y+1/2,-x,-z'
'-x+1/2,-y+1/2,z'
'x+1/2,y+1/2,-z'
'y,-x+1/2,z'
'-y,x+1/2,-z'
'x+1/2,-y,-z'
'-x+1/2,y,z'
'-y,-x,-z'
'y,x,z'
'-x,y+1/2,-z'
'x,-y+1/2,z'
'y+1/2,x+1/2,-z'
'-y+1/2,-x+1/2,z'
loop_
_atom_site_label
_atom_site_type_symbol
_atom_site_fract_x
_atom_site_fract_y
_atom_site_fract_z
Na1 Na 0.250 0.250 0.124
La1 La 0.250 0.250 0.608
Cu1 Cu 0.250 0.750 0.000
Te1 Te 0.250 0.250 0.439
Te2 Te 0.250 0.250 0.922
Te3 Te 0.250 0.750 0.264
```

Energy ... -4.111 eV per atom
Crystal system ... tetragonal
V ... 28.3 Å³ per atom